<w>
MgFe6Sb10I6O18 (PBE with a Hubbard U, optimized geometry); theoretical density = 4.99 g/cm3; volume = 21.3 A^3/atom
1.0
7.7233 1.4639 -0.9614
4.2090 -8.3556 -0.1742
-0.0572 -1.9243 -12.2932
Mg Fe Sb I O
1 6 10 6 18
Cartesian
3.8330 -0.2302 -6.6273
10.0446 -7.6498 -4.9418
1.8305 -1.1662 -8.4871
4.2640 -8.1294 -1.7229
7.6111 -0.6866 -11.7059
5.1700 0.0753 -1.3166
6.7051 -8.8913 -12.1123
7.7075 -1.2258 -7.0784
4.1676 -7.5901 -6.3505
2.4991 -1.6928 -3.3359
9.3760 -7.1232 -10.0929
4.9784 -2.1944 -9.6178
6.8967 -6.6216 -3.8111
2.7063 -3.7536 -12.2297
9.1688 -5.0624 -1.1992
7.4144 -1.8601 -3.3030
4.4607 -6.9559 -10.1259
6.9769 -3.6083 -12.2271
4.8982 -5.2077 -1.2018
9.7871 -4.8984 -4.6288
2.0880 -3.9176 -8.8000
4.9928 -2.7709 -5.6113
6.8823 -6.0451 -7.8176
1.3352 -2.2550 -12.2444
10.5399 -6.5610 -1.1845
10.6343 -7.8201 -6.8682
1.2408 -0.9959 -6.5607
6.5200 -0.0622 -3.0453
5.3551 -8.7538 -10.3836
3.9174 -2.1272 -11.4058
7.9577 -6.6888 -2.0231
6.1601 -0.5837 -10.2455
5.7150 -8.2323 -3.1833
3.8641 -0.8509 -8.5853
8.0110 -7.9651 -4.8435
1.5005 -2.5851 -1.7599
10.3746 -6.2309 -11.6690
3.7117 -7.6804 -8.3484
8.1634 -1.1356 -5.0805
8.1548 -7.5351 -11.7766
3.7203 -1.2809 -1.6523

---

<x>
MgFe6Sb10I6O18 (PBE with a Hubbard U, optimized geometry); theoretical density = 4.64 g/cm3; volume = 22.9 A^3/atom
1.0
3.8144 4.9560 5.2253
8.8871 -3.2912 0.7122
4.6302 7.4869 -9.1154
Mg Fe Sb I O
1 6 10 6 18
Cartesian
6.6383 1.9578 -0.3427
13.1455 2.9081 1.3366
4.2327 6.2953 -4.4640
9.1998 -2.1054 -0.2989
8.1465 11.2733 -2.8390
3.4233 3.2802 2.7401
13.9106 5.8494 -5.8425
7.3471 7.6992 0.1798
10.0990 1.5137 -3.2640
3.6518 2.7602 -0.9448
13.8053 6.3542 -2.2082
7.4132 7.8441 -4.1071
10.0041 1.2838 0.9796
3.0120 0.2226 1.2436
14.3067 8.9260 -4.3618
6.7844 4.7520 2.4408
10.5625 4.3787 -5.5688
10.2390 9.7380 -4.6530
7.0131 -0.5614 1.6045
10.9738 4.2965 2.6565
6.4186 4.9526 -5.7424
6.4724 5.1375 -1.3034
10.8927 4.3553 -2.0986
5.6455 7.9538 -8.1658
11.6832 1.2213 5.0272
14.1775 4.6099 0.9857
3.2439 4.5988 -3.9996
4.8278 5.1773 2.4106
12.5424 4.0204 -5.5452
7.1116 8.6767 -5.9280
10.2242 0.4687 2.8207
7.0226 9.5639 -2.9933
10.3010 -0.4132 -0.1006
5.4378 7.7172 -3.8163
11.9743 1.4610 0.6949
3.2113 0.6017 -0.9432
14.1962 8.5228 -2.1964
10.1115 2.4639 -5.0093
7.3826 6.6104 1.8441
13.6551 6.9949 -4.1687
3.6272 2.1583 1.0501

---

<y>
MgFe6Sb10I6O18 (PBE with a Hubbard U, optimized geometry); theoretical density = 4.63 g/cm3; volume = 23.0 A^3/atom
1.0
-0.6063 -8.0837 -1.6174
-8.8406 -1.6650 -1.2757
-1.2602 2.2136 -13.0772
Mg Fe Sb I O
1 6 10 6 18
Cartesian
-1.9403 -6.4757 -10.4465
-9.3395 -6.9548 -6.6427
-1.2856 -1.3875 -8.5887
-8.5968 -1.6704 -2.9030
-2.1347 -5.9605 -13.2975
-1.2684 -5.1505 -1.9113
-9.5514 -2.6059 -14.3661
-3.0105 -5.9709 -7.2810
-8.1007 -0.9112 -7.9463
-1.8778 -1.8994 -3.8483
-8.7207 -5.4564 -12.2150
-3.0789 -2.8909 -11.1807
-7.5352 -4.6437 -4.8373
-3.7156 0.0073 -13.6576
-6.9810 -7.6659 -2.5201
-3.3752 -6.7982 -4.4360
-7.4079 -0.6498 -11.5649
-4.6613 -4.5799 -13.7952
-5.9684 -3.2313 -1.8827
-6.8510 -8.1066 -6.1537
-3.7942 0.3612 -9.6982
-3.2421 -2.8675 -7.3465
-7.2926 -3.6629 -9.4905
-1.8426 0.7492 -13.3003
-8.8234 -8.4724 -2.8076
-9.7611 -7.5190 -8.5358
-1.0111 0.1814 -7.4161
-1.4897 -6.3515 -3.8342
-9.3586 -0.8930 -11.8228
-2.6168 -1.9248 -12.8769
-8.0480 -5.8588 -3.2765
-1.8489 -4.6127 -11.3891
-8.7789 -3.0666 -4.4157
-1.3451 -2.2732 -10.3567
-9.0607 -5.1614 -5.9554
-2.5145 -0.7999 -2.1707
-8.0903 -6.8146 -13.7950
-8.6033 -7.9373 -11.3129
-2.1439 0.2684 -4.4798
-8.6015 -4.3343 -13.9181
-2.0615 -3.3194 -2.2225

---

The structure with the least stability is <x>.

---

<w>
MgFe6Sb10I6O18 (PBE with a Hubbard U, optimized geometry); theoretical density = 4.77 g/cm3; volume = 22.3 A^3/atom
1.0
7.3859 -0.4492 3.7825
5.5746 -5.2934 -5.1550
5.9397 8.9817 -6.8144
Mg Fe Sb I O
1 6 10 6 18
Cartesian
7.2092 6.7725 -5.0295
12.8365 -2.3483 -4.8590
5.8933 5.2782 -3.0675
6.4723 -4.1359 -5.7650
12.3159 7.1468 -2.6429
5.7073 0.0567 1.4001
13.9026 4.0968 -9.8022
10.5510 3.1784 -0.9594
8.0589 0.1110 -7.1669
4.2524 1.4399 -1.6059
14.6450 2.0966 -6.5681
9.5530 5.2200 -4.0216
9.4003 -2.0196 -4.0667
9.0085 7.4227 -7.3652
10.2983 -4.0580 -0.8599
8.9674 -0.0561 0.0100
9.9577 3.0876 -8.2418
12.9250 6.3643 -5.2701
6.0527 -2.9392 -2.7770
12.0552 -1.1619 -2.3220
6.7132 4.1089 -5.9346
7.7466 1.8648 -2.4359
11.0277 1.2241 -5.7015
7.5553 8.4443 -6.2691
11.7750 -5.0713 -1.7665
14.5419 -1.2720 -5.0147
4.0942 4.4038 -3.0553
7.6290 0.9794 1.1124
11.0543 1.9017 -9.3875
9.2619 6.7817 -5.2897
9.6945 -3.7490 -2.9877
10.3706 6.2513 -2.4810
8.3314 -3.0906 -5.5479
7.8013 5.8600 -3.2462
10.8910 -2.6118 -5.2579
2.5585 0.0229 -1.9809
16.2974 3.3123 -6.1160
8.4079 1.7744 -8.2755
10.3179 1.4430 0.0092
14.6516 3.6251 -8.0115
4.5299 -0.1907 -0.2314

---

<x>
MgFe6Sb10I6O18 (PBE with a Hubbard U, optimized geometry); theoretical density = 4.87 g/cm3; volume = 21.8 A^3/atom
1.0
-7.7052 -0.0172 -2.5391
0.4850 -0.1181 -9.4062
-0.2117 -12.1731 -2.9093
Mg Fe Sb I O
1 6 10 6 18
Cartesian
-6.7773 -9.3112 -9.9580
-5.1607 -4.3645 -11.8997
-2.4398 -7.8498 -2.6815
0.2530 -1.6325 -9.4465
-7.6923 -10.5445 -5.6109
-4.7694 -0.7722 -2.5720
-2.7752 -11.6190 -12.5233
-6.8668 -6.3470 -4.9328
-0.6371 -6.2593 -9.1700
-1.9631 -3.2141 -2.7151
-5.3393 -8.8697 -12.3557
-4.1226 -9.2638 -5.7921
-3.1875 -3.0591 -9.3041
-1.6808 -12.0595 -5.9157
-5.7759 -0.2297 -9.1103
-6.1997 -2.6437 -5.3979
-1.3945 -9.9281 -9.4265
-5.4671 -11.3663 -8.4249
-1.7372 -0.9003 -7.1241
-6.5359 -3.8308 -9.4620
-0.6540 -8.3095 -5.1864
-3.8883 -5.2000 -4.9200
-3.6206 -7.1738 -9.7515
-1.3526 -11.9229 -3.9041
-6.1678 -0.2625 -11.1121
-6.3403 -5.9465 -12.3066
-0.6960 -6.6646 -11.1980
-6.0717 -2.3195 -3.4044
-1.1179 -9.7670 -11.3843
-3.5524 -11.1348 -5.2713
-3.8289 -1.2303 -9.8837
-5.9933 -9.5947 -5.4413
-1.2527 -2.8784 -10.0828
-3.9061 -8.6097 -3.7986
-3.4197 -3.7833 -11.1511
-0.3314 -1.7349 -2.8954
-7.2542 -10.6363 -11.5099
-0.3450 -8.1927 -8.6733
-7.2846 -4.2956 -5.1521
-4.6597 -10.9071 -12.1804
-2.8525 -1.3744 -3.1191

---

<y>
MgFe6Sb10I6O18 (PBE with a Hubbard U, optimized geometry); theoretical density = 4.72 g/cm3; volume = 22.5 A^3/atom
1.0
-7.7681 0.1806 -2.6301
0.3284 -0.1071 -9.2899
0.0462 -12.6791 -2.8408
Mg Fe Sb I O
1 6 10 6 18
Cartesian
-5.6336 -9.2030 -6.8696
-5.4115 -4.2126 -11.8014
-2.1035 -8.2529 -2.7864
0.0794 -1.7297 -9.2727
-7.7165 -11.0275 -5.2220
-4.7888 -0.6279 -2.6621
-2.6531 -12.0020 -12.3112
-6.7684 -6.0643 -5.1087
-0.6659 -6.6228 -9.2286
-2.0946 -3.2388 -2.5967
-5.2562 -9.3812 -12.5162
-3.0228 -9.6553 -5.8625
-3.4836 -2.9058 -9.1195
-1.4060 -12.6140 -5.7830
-5.9790 -0.0342 -9.0855
-6.2749 -2.4439 -5.4765
-1.1420 -10.2443 -9.2435
-5.5268 -11.7374 -8.1324
-2.0175 -0.8080 -6.9528
-6.9632 -3.5801 -9.5462
0.0119 -7.7752 -5.1833
-3.8341 -4.8467 -5.0542
-3.6407 -7.8361 -9.6660
-1.0959 -12.4726 -3.7728
-6.3200 -0.1631 -11.0881
-6.5059 -5.8119 -12.3481
-1.0368 -6.7157 -1.9882
-6.1471 -2.2600 -3.4779
-1.3213 -10.2690 -11.2725
-3.2805 -11.6312 -5.2127
-4.0817 -1.0827 -9.7661
-6.2757 -9.6040 -5.0690
-1.5482 -2.8318 -9.8540
-3.5455 -8.9316 -3.9964
-3.6955 -3.7443 -10.9393
-0.3764 -1.8383 -2.7570
-7.0569 -10.8547 -12.0930
-0.1126 -8.5099 -9.0744
-7.2931 -4.1889 -5.4604
-4.5340 -11.2440 -12.0223
-2.8956 -1.4103 -3.0693

---

The structure with the least stability is <w>.

---

<w>
K3FeMo4O15 (PBE with a Hubbard U, optimized geometry); theoretical density = 3.25 g/cm3; volume = 17.7 A^3/atom
1.0
-5.0752 -0.9663 2.7421
3.5285 1.7930 7.1625
-7.0937 15.7251 -1.3497
K Fe Mo O
6 2 8 30
Cartesian
-5.9880 13.2705 6.0699
-2.6525 3.2813 2.4850
-8.6944 15.1274 1.7151
0.0540 1.4244 6.8398
-3.5467 10.6567 3.4292
-5.0938 5.8951 5.1257
-5.3691 9.8797 -0.2177
-3.2713 6.6721 8.7726
-4.7469 14.7132 2.6373
-3.8936 1.8386 5.9176
-4.7493 9.5726 7.0593
-3.8912 6.9792 1.4956
-7.3284 10.8720 2.7438
-1.3121 5.6798 5.8111
-6.2874 13.5180 -0.6351
-2.3531 3.0337 9.1900
-8.0116 12.3120 1.9867
-0.6289 4.2397 6.5681
-8.6690 9.6712 3.0737
-6.0375 10.1722 1.6519
0.0286 6.8806 5.4812
-2.6030 6.3796 6.9030
-4.4797 15.6305 6.4538
-7.1152 15.1287 7.8777
-4.1608 0.9213 2.1011
-1.5253 1.4231 0.6771
-2.4864 13.5308 6.4044
-6.1540 3.0210 2.1505
-4.0679 13.2710 3.3858
-4.5726 3.2808 5.1691
-5.6081 14.3640 0.9202
-3.0323 2.1878 7.6346
-3.6414 10.8690 6.3934
-6.2232 10.3774 7.7883
-4.9990 5.6828 2.1615
-2.4173 6.1744 0.7666
-3.9052 8.5438 8.2590
-4.7352 8.0080 0.2959
-5.2823 8.5820 5.7238
-3.3582 7.9698 2.8311
-6.5810 11.3112 4.2818
-2.0595 5.2406 4.2731
-8.5068 14.8872 5.1626
-5.9155 15.3806 3.7625
-0.1336 1.6646 3.3923
-2.7249 1.1712 4.7924

---

<x>
K3FeMo4O15 (PBE with a Hubbard U, optimized geometry); theoretical density = 3.30 g/cm3; volume = 17.4 A^3/atom
1.0
5.7617 -0.0061 -0.9960
-0.0846 16.2730 -0.3860
0.0246 -0.0800 17.0889
K Fe Mo O
12 4 16 60
Cartesian
4.8643 8.3063 9.6536
2.1530 2.1093 13.0354
4.5278 0.1362 9.9474
2.8320 10.2584 -0.3246
3.5406 14.0665 2.6754
0.8761 7.9113 6.0493
2.6820 14.0614 15.8593
3.0402 2.1155 -0.1343
3.3257 5.9326 2.9138
2.4016 10.2394 12.8197
1.1864 16.0516 5.7812
2.8703 5.9148 16.0271
1.0378 3.8674 5.9079
4.7229 4.1886 9.9931
0.9786 12.0199 5.7232
4.6535 12.3065 9.8129
3.6222 10.0430 4.2645
0.0721 8.1051 1.7471
0.4598 16.2372 1.4709
5.3963 4.3123 13.6841
5.2481 -0.0446 14.2424
5.6384 8.0931 13.9617
1.8716 14.2445 11.2845
4.1454 13.6595 6.4461
2.0767 6.1489 11.4301
1.6380 10.7002 9.0773
1.5526 2.5401 9.2918
5.2949 12.4514 13.4949
4.0526 5.5038 6.6425
3.8290 1.9049 4.4268
0.3191 11.8893 2.0234
0.4095 3.7484 2.2063
0.1660 2.5935 10.4870
3.3960 10.6086 2.6098
5.3991 0.5492 12.5884
5.1366 10.8193 4.9349
1.6661 0.9053 8.6815
2.1910 13.6367 12.9116
0.8007 4.1877 3.9152
2.1265 10.4478 5.2585
1.2690 3.6478 7.9108
5.0025 15.4090 -0.4971
4.0519 15.2884 7.0760
0.5397 12.3440 3.7591
5.2188 5.1284 5.2794
1.3174 9.0681 8.5526
1.6797 4.3703 1.1722
2.3055 5.5475 13.0705
2.0897 15.8245 0.9268
2.1134 15.9906 11.2181
4.9235 8.7117 12.4725
4.5376 12.5070 0.4801
4.8394 8.9379 15.2852
4.8881 12.0207 11.7887
4.1143 7.6922 0.7729
1.1805 3.6911 15.2141
0.7091 0.8018 16.1882
2.5779 13.2952 5.5710
3.3412 10.7229 9.7506
4.4153 12.5270 7.8090
3.5789 0.1561 4.4758
5.5724 2.2784 4.8822
3.1136 2.9136 10.1782
5.4972 14.3104 13.8084
0.3978 10.0268 1.6854
5.3145 6.1735 14.0321
1.4367 11.8106 7.6826
3.5184 2.4986 2.7955
1.0053 11.6286 14.9586
4.1743 3.5128 14.6579
2.3400 5.4622 5.9928
4.3777 7.1329 7.1905
3.8591 8.2904 4.2640
3.6169 0.3623 14.7881
0.4674 11.0586 10.4401
0.2942 15.6170 3.1123
0.5606 5.3848 10.7450
1.5491 12.6817 1.0513
0.1321 13.8788 10.8181
2.6201 2.6758 5.5644
5.5342 13.5927 5.2566
3.0635 13.4806 10.1259
0.9011 7.2616 0.4405
5.1690 3.8738 11.9456
0.7619 7.4919 3.2493
4.0132 11.8303 14.5108
3.5766 5.7739 10.4301
1.8282 7.8992 11.4770
4.6878 4.5394 0.7133
4.2519 4.3837 8.0269
1.5993 8.4883 14.9109
0.2310 1.8860 1.9094

---

The structure with the least stability is <w>.